(1)
Crystalline Ca3Nb4O12F2 at its relaxed geometry, computed with PBE.

Properties
energy relative to the elements	-3.36	eV/atom
polymorph energy (0 for the lowest one)	0	meV per atom

abc: 10.5890 10.5890 10.5890
angles: 90.00 90.00 90.00
Closest atoms and distances in Å follow each position.
Space group P4_332 (No. 212)
Asymmetric unit:
Ca1 0.1138 0.3750 0.3638 [12 per cell]  2 F 2.25, 2 O 2.49
Nb1 0.1238 0.1262 0.6250 [12 per cell]  6 O 1.99-2.03
Nb2 0.1250 0.8750 0.3750 [4 per cell]  6 O 2.00
O1 0.0017 0.5047 0.8029 [24 per cell]  2 Nb 2.00-2.03
O2 0.0082 0.8123 0.5101 [24 per cell]  2 Nb 1.99-2.00
F1 0.0117 0.4883 0.5117 [8 per cell]  3 Ca 2.25

---

(2)
Crystalline MgTe4MoW3S4 at its relaxed geometry, computed with PBE.

Properties
energy relative to the elements	-0.48	eV/atom
polymorph energy (0 for the lowest one)	26	meV per atom

abc: 3.3506 3.3506 38.3624
angles: 90.00 90.00 120.00
Closest atoms and distances in Å follow each position.
Space group P1 (No. 1)
Asymmetric unit:
Mg1 0.0000 0.0000 0.0000 [1 per cell]  6 Mg 3.35
Te1 0.3450 0.6596 0.1695 [1 per cell]  3 Mo 2.71
Te2 0.3450 0.6596 0.2682 [1 per cell]  3 Mo 2.71
Te3 0.6782 0.3261 0.7329 [1 per cell]  3 W 2.72
Te4 0.6782 0.3261 0.8322 [1 per cell]  3 W 2.71
Mo1 0.6783 0.3262 0.2188 [1 per cell]  6 Te 2.71
W1 0.3449 0.6595 0.4068 [1 per cell]  6 S 2.46
W2 0.3449 0.6595 0.7826 [1 per cell]  6 Te 2.71-2.72
W3 0.6783 0.3262 0.5946 [1 per cell]  6 S 2.46
S1 0.3449 0.6596 0.5550 [1 per cell]  3 W 2.46
S2 0.3449 0.6596 0.6342 [1 per cell]  3 W 2.46
S3 0.6783 0.3261 0.3671 [1 per cell]  3 W 2.46
S4 0.6782 0.3261 0.4464 [1 per cell]  3 W 2.46

---

(3)
Crystalline ZrP4O12 at its relaxed geometry, computed with PBE.

Properties
energy relative to the elements	-2.85	eV/atom
polymorph energy (0 for the lowest one)	0	meV per atom

abc: 20.8708 9.9187 8.6227
angles: 90.00 90.00 90.00
Closest atoms and distances in Å follow each position.
Space group Pca2_1 (No. 29)
Asymmetric unit:
Zr1 0.1163 0.0199 0.0000 [4 per cell]  8 O 2.14-2.38
Zr2 0.1331 0.4856 0.4993 [4 per cell]  8 O 2.14-2.32
P1 0.0115 0.5071 0.7724 [4 per cell]  4 O 1.49-1.62
P2 0.0475 0.9935 0.6239 [4 per cell]  4 O 1.50-1.61
P3 0.0929 0.7400 0.7623 [4 per cell]  4 O 1.50-1.61
P4 0.1221 0.3647 0.8854 [4 per cell]  4 O 1.49-1.61
P5 0.1238 0.1421 0.3823 [4 per cell]  4 O 1.50-1.60
P6 0.1646 0.7676 0.2626 [4 per cell]  4 O 1.49-1.62
P7 0.2028 0.5111 0.1205 [4 per cell]  4 O 1.50-1.61
P8 0.2392 0.0123 0.2658 [4 per cell]  4 O 1.49-1.62
O1 0.0154 0.9804 0.0454 [4 per cell]  1 P 1.50
O2 0.0348 0.6537 0.8341 [4 per cell]  2 P 1.61-1.62
O3 0.0371 0.4881 0.6094 [4 per cell]  1 P 1.52
O4 0.0469 0.4007 0.8845 [4 per cell]  2 P 1.61
O5 0.0564 0.8323 0.6366 [4 per cell]  2 P 1.61
O6 0.0587 0.5032 0.3011 [4 per cell]  1 P 1.49
O7 0.0617 0.0601 0.7763 [4 per cell]  1 P 1.50
O8 0.0938 0.1198 0.2266 [4 per cell]  1 P 1.50
O9 0.1031 0.0256 0.5008 [4 per cell]  2 P 1.60
O10 0.1136 0.2769 0.4567 [4 per cell]  1 P 1.50
O11 0.1158 0.8549 0.1854 [4 per cell]  1 P 1.49
O12 0.1190 0.8271 0.8893 [4 per cell]  1 P 1.50
O13 0.1293 0.2335 0.9699 [4 per cell]  1 P 1.50
O14 0.1393 0.6468 0.6849 [4 per cell]  1 P 1.50
O15 0.1441 0.6828 0.3974 [4 per cell]  1 P 1.50
O16 0.1478 0.4855 0.9933 [4 per cell]  2 P 1.61
O17 0.1491 0.3760 0.7256 [4 per cell]  1 P 1.49
O18 0.1856 0.4432 0.2698 [4 per cell]  1 P 1.50
O19 0.1916 0.0368 0.7942 [4 per cell]  1 P 1.49
O20 0.1993 0.1129 0.3765 [4 per cell]  2 P 1.60-1.61
O21 0.1994 0.6729 0.1362 [4 per cell]  2 P 1.61
O22 0.2119 0.0260 0.1032 [4 per cell]  1 P 1.52
O23 0.2226 0.8609 0.3251 [4 per cell]  2 P 1.62
O24 0.2342 0.4814 0.5441 [4 per cell]  1 P 1.50

---

(4)
Crystalline LuZnCuAs2 at its relaxed geometry, computed with PBE.

Properties
energy relative to the elements	-0.63	eV/atom

abc: 4.0883 4.0883 6.6601
angles: 90.00 90.00 120.00
Closest atoms and distances in Å follow each position.
Space group P3m1 (No. 156)
Asymmetric unit:
Lu1 0.0000 0.0000 0.0000 [1 per cell]  6 As 2.81-2.94
Zn1 0.6667 0.3333 0.3959 [1 per cell]  4 As 2.51-2.52
Cu1 0.3333 0.6667 0.6533 [1 per cell]  4 As 2.49-2.60
As1 0.3333 0.6667 0.2625 [1 per cell]  3 Zn 2.52, 1 Cu 2.60
As2 0.6667 0.3333 0.7722 [1 per cell]  3 Cu 2.49, 1 Zn 2.51

---

(5)
Crystalline TlCdF3 at its relaxed geometry, computed with PBE.

Properties
energy relative to the elements	-2.29	eV/atom

abc: 4.4944 4.4971 4.4981
angles: 89.89 89.76 89.95
Closest atoms and distances in Å follow each position.
Space group P1 (No. 1)
Asymmetric unit:
Tl1 0.0000 0.0000 0.0000 [1 per cell]  12 F 3.04-3.33
Cd1 0.4937 0.5054 0.5101 [1 per cell]  6 F 2.24-2.26
F1 0.4881 0.0064 0.5142 [1 per cell]  2 Cd 2.24-2.25
F2 0.4929 0.5060 0.0119 [1 per cell]  2 Cd 2.24-2.26
F3 0.9931 0.5158 0.5287 [1 per cell]  2 Cd 2.25

---

(6)
Crystalline MgSi16O32 at its relaxed geometry, computed with PBE.

Properties
energy relative to the elements	-3.16	eV/atom

abc: 9.9075 8.4844 9.9295
angles: 90.00 90.06 90.00
Closest atoms and distances in Å follow each position.
Space group P2/m (No. 10)
Asymmetric unit:
Mg1 0.0000 0.0000 0.0000 [1 per cell]  12 O 3.46-3.80, 4 Si 3.84
Si1 0.1212 0.1872 0.6700 [4 per cell]  4 O 1.62-1.63
Si2 0.1702 0.3128 0.3796 [4 per cell]  4 O 1.62-1.63
Si3 0.3305 0.3128 0.8794 [4 per cell]  4 O 1.62-1.63
Si4 0.3787 0.1875 0.1704 [4 per cell]  4 O 1.62-1.63
O1 0.0406 0.2183 0.3182 [4 per cell]  2 Si 1.63
O2 0.1493 0.0000 0.6510 [2 per cell]  2 Si 1.62
O3 0.1500 0.5000 0.3532 [2 per cell]  2 Si 1.62
O4 0.1834 0.2810 0.5408 [4 per cell]  2 Si 1.63
O5 0.1936 0.2521 0.8059 [4 per cell]  2 Si 1.62
O6 0.3068 0.2513 0.3065 [4 per cell]  2 Si 1.62
O7 0.3169 0.2811 0.0407 [4 per cell]  2 Si 1.63
O8 0.3504 0.5000 0.8533 [2 per cell]  2 Si 1.62
O9 0.3518 0.0000 0.1523 [2 per cell]  2 Si 1.62
O10 0.4594 0.2180 0.8177 [4 per cell]  2 Si 1.63

---

Please write out number 6 again, unchanged.
Crystalline MgSi16O32 at its relaxed geometry, computed with PBE.

Properties
energy relative to the elements	-3.16	eV/atom

abc: 9.9075 8.4844 9.9295
angles: 90.00 90.06 90.00
Closest atoms and distances in Å follow each position.
Space group P2/m (No. 10)
Asymmetric unit:
Mg1 0.0000 0.0000 0.0000 [1 per cell]  12 O 3.46-3.80, 4 Si 3.84
Si1 0.1212 0.1872 0.6700 [4 per cell]  4 O 1.62-1.63
Si2 0.1702 0.3128 0.3796 [4 per cell]  4 O 1.62-1.63
Si3 0.3305 0.3128 0.8794 [4 per cell]  4 O 1.62-1.63
Si4 0.3787 0.1875 0.1704 [4 per cell]  4 O 1.62-1.63
O1 0.0406 0.2183 0.3182 [4 per cell]  2 Si 1.63
O2 0.1493 0.0000 0.6510 [2 per cell]  2 Si 1.62
O3 0.1500 0.5000 0.3532 [2 per cell]  2 Si 1.62
O4 0.1834 0.2810 0.5408 [4 per cell]  2 Si 1.63
O5 0.1936 0.2521 0.8059 [4 per cell]  2 Si 1.62
O6 0.3068 0.2513 0.3065 [4 per cell]  2 Si 1.62
O7 0.3169 0.2811 0.0407 [4 per cell]  2 Si 1.63
O8 0.3504 0.5000 0.8533 [2 per cell]  2 Si 1.62
O9 0.3518 0.0000 0.1523 [2 per cell]  2 Si 1.62
O10 0.4594 0.2180 0.8177 [4 per cell]  2 Si 1.63

---

What is the energy relative to the elements in the fifth record?
-2.29 eV/atom

---

Among the records above, which one has the lowest energy relative to the elements?
Ca3Nb4O12F2

---

Among the records above, which one has the lowest energy relative to the elements?
Ca3Nb4O12F2